Record 1
DFT (PBE) results for a relaxed KNdTe4 crystal.

Unit cell a=6.9490 b=6.9490 c=9.0079 alpha=90.00 beta=90.00 gamma=90.00
Last column: nearest neighbours and their distance in Å.
Sites, in units of the cell vectors:
K1 0.2500 0.2500 0.0000  8 Te 3.71
K2 0.7500 0.7500 0.0000  8 Te 3.71
Nd1 0.2500 0.2500 0.5000  8 Te 3.29
Nd2 0.7500 0.7500 0.5000  8 Te 3.29
Te1 0.1059 0.6059 0.2868  1 Te 2.83
Te2 0.1059 0.8941 0.7132  1 Te 2.83
Te3 0.3941 0.6059 0.7132  1 Te 2.83
Te4 0.3941 0.8941 0.2868  1 Te 2.83
Te5 0.6059 0.1059 0.7132  1 Te 2.83
Te6 0.6059 0.3941 0.2868  1 Te 2.83
Te7 0.8941 0.1059 0.2868  1 Te 2.83
Te8 0.8941 0.3941 0.7132  1 Te 2.83

Values from the calculation:
formation energy = -1.236 eV/atom
space-group type = P4/nbm
density = 5.30 g/cm3

=====

Record 2
DFT (PBE) results for a relaxed KNdTe2 crystal.

Unit cell a=8.6902 b=8.6902 c=8.6902 alpha=30.86 beta=30.86 gamma=30.86
Last column: nearest neighbours and their distance in Å.
Sites, in units of the cell vectors:
K1 0.0000 0.0000 0.0000  6 Te 3.56
Nd1 0.5000 0.5000 0.5000  6 Te 3.20
Te1 0.2381 0.2381 0.2381  3 Nd 3.20, 3 K 3.56
Te2 0.7619 0.7619 0.7619  3 Nd 3.20, 3 K 3.56

Values from the calculation:
formation energy = -1.624 eV/atom
space-group type = R-3m
density = 4.76 g/cm3

=====

Record 3
DFT (PBE) results for a relaxed KNd3Te8 crystal.

Unit cell a=14.4990 b=12.9548 c=9.0414 alpha=90.00 beta=99.96 gamma=90.00
Last column: nearest neighbours and their distance in Å.
Sites, in units of the cell vectors:
K1 0.0349 0.0872 0.2482  8 Te 3.64-3.95
K2 0.0349 0.4128 0.7482  8 Te 3.64-3.95
K3 0.9651 0.5872 0.2518  8 Te 3.64-3.95
K4 0.9651 0.9128 0.7518  8 Te 3.64-3.95
Nd1 0.3480 0.7495 0.0822  9 Te 3.25-3.44
Nd2 0.3480 0.7505 0.5822  9 Te 3.25-3.44
Nd3 0.3518 0.0856 0.0735  8 Te 3.22-3.33
Nd4 0.3518 0.4144 0.5735  8 Te 3.22-3.33
Nd5 0.3537 0.0836 0.5897  8 Te 3.25-3.34
Nd6 0.3537 0.4164 0.0897  8 Te 3.25-3.34
Nd7 0.6463 0.5836 0.9103  8 Te 3.25-3.34
Nd8 0.6463 0.9164 0.4103  8 Te 3.25-3.34
Nd9 0.6482 0.5856 0.4265  8 Te 3.22-3.33
Nd10 0.6482 0.9144 0.9265  8 Te 3.22-3.33
Nd11 0.6520 0.2495 0.4178  9 Te 3.25-3.44
Nd12 0.6520 0.2505 0.9178  9 Te 3.25-3.44
Te1 0.1679 0.7303 0.7818  2 Te 2.91
Te2 0.1679 0.7697 0.2818  2 Te 2.91
Te3 0.1741 0.5799 0.5450  1 Te 2.91
Te4 0.1736 0.5808 0.0230  1 Te 2.91
Te5 0.1736 0.9192 0.5230  1 Te 2.91
Te6 0.1741 0.9201 0.0450  1 Te 2.91
Te7 0.1767 0.0956 0.7815  4 Te 3.02-3.30, 2 Nd 3.33-3.34
Te8 0.1767 0.4044 0.2815  4 Te 3.02-3.30, 2 Nd 3.33-3.34
Te9 0.1781 0.2487 0.5303  2 Te 3.02, 2 Nd 3.28-3.30
Te10 0.1781 0.2513 0.0303  2 Te 3.02, 2 Nd 3.28-3.30
Te11 0.4140 0.5796 0.8480  5 Nd 3.27-3.32
Te12 0.4140 0.9204 0.3480  5 Nd 3.27-3.32
Te13 0.4165 0.5852 0.3535  5 Nd 3.22-3.31
Te14 0.4165 0.9148 0.8535  5 Nd 3.22-3.31
Te15 0.4203 0.2452 0.3509  5 Nd 3.25-3.31
Te16 0.4203 0.2548 0.8509  5 Nd 3.25-3.31
Te17 0.5797 0.7452 0.1491  5 Nd 3.25-3.31
Te18 0.5797 0.7548 0.6491  5 Nd 3.25-3.31
Te19 0.5835 0.0852 0.1465  5 Nd 3.22-3.31
Te20 0.5835 0.4148 0.6465  5 Nd 3.22-3.31
Te21 0.5860 0.0796 0.6520  5 Nd 3.27-3.32
Te22 0.5860 0.4204 0.1520  5 Nd 3.27-3.32
Te23 0.8219 0.7487 0.9697  2 Te 3.02, 2 Nd 3.28-3.30
Te24 0.8219 0.7513 0.4697  2 Te 3.02, 2 Nd 3.28-3.30
Te25 0.8233 0.5956 0.7185  4 Te 3.02-3.30, 2 Nd 3.33-3.34
Te26 0.8233 0.9044 0.2185  4 Te 3.02-3.30, 2 Nd 3.33-3.34
Te27 0.8259 0.0799 0.9550  1 Te 2.91
Te28 0.8264 0.0808 0.4770  1 Te 2.91
Te29 0.8264 0.4192 0.9770  1 Te 2.91
Te30 0.8259 0.4201 0.4550  1 Te 2.91
Te31 0.8321 0.2303 0.7182  2 Te 2.91
Te32 0.8321 0.2697 0.2182  2 Te 2.91

Values from the calculation:
formation energy = -1.425 eV/atom
space-group type = P2_1/c
density = 5.93 g/cm3

=====

Record 4
DFT (PBE) results for a relaxed KNiPS4 crystal.

Unit cell a=8.4116 b=8.4116 c=10.9581 alpha=90.00 beta=90.00 gamma=90.00
Last column: nearest neighbours and their distance in Å.
Sites, in units of the cell vectors:
K1 0.0000 0.5000 0.2500  8 S 3.39-3.49
K2 0.0000 0.5000 0.7500  8 S 3.39-3.49
K3 0.5000 0.0000 0.2500  8 S 3.39-3.49
K4 0.5000 0.0000 0.7500  8 S 3.39-3.49
Ni1 0.0000 0.0000 0.0000  4 S 2.22
Ni2 0.0000 0.0000 0.5000  4 S 2.21
Ni3 0.5000 0.5000 0.0000  4 S 2.21
Ni4 0.5000 0.5000 0.5000  4 S 2.22
P1 0.2494 0.2494 0.0000  4 S 2.05-2.06
P2 0.2506 0.7494 0.5000  4 S 2.05-2.06
P3 0.7494 0.2506 0.5000  4 S 2.05-2.06
P4 0.7506 0.7506 0.0000  4 S 2.05-2.06
S1 0.0062 0.7377 0.5000  1 P 2.06, 1 Ni 2.21
S2 0.1346 0.1346 0.1400  1 P 2.05, 1 Ni 2.22
S3 0.1346 0.1346 0.8600  1 P 2.05, 1 Ni 2.22
S4 0.2377 0.4938 0.0000  1 P 2.06, 1 Ni 2.21
S5 0.2623 0.9938 0.5000  1 P 2.06, 1 Ni 2.21
S6 0.3654 0.6346 0.3600  1 P 2.05, 1 Ni 2.22
S7 0.3654 0.6346 0.6400  1 P 2.05, 1 Ni 2.22
S8 0.4938 0.2377 0.0000  1 P 2.06, 1 Ni 2.21
S9 0.5062 0.7623 0.0000  1 P 2.06, 1 Ni 2.21
S10 0.6346 0.3654 0.3600  1 P 2.05, 1 Ni 2.22
S11 0.6346 0.3654 0.6400  1 P 2.05, 1 Ni 2.22
S12 0.7377 0.0062 0.5000  1 P 2.06, 1 Ni 2.21
S13 0.7623 0.5062 0.0000  1 P 2.06, 1 Ni 2.21
S14 0.8654 0.8654 0.1400  1 P 2.05, 1 Ni 2.22
S15 0.8654 0.8654 0.8600  1 P 2.05, 1 Ni 2.22
S16 0.9938 0.2623 0.5000  1 P 2.06, 1 Ni 2.21

Values from the calculation:
formation energy = -0.910 eV/atom
space-group type = P4_2/mnm
density = 2.20 g/cm3

=====

Record 5
DFT (PBE) results for a relaxed K2Ni3S2 crystal.

Unit cell a=12.3490 b=11.9853 c=7.9227 alpha=73.51 beta=68.53 gamma=37.96
Last column: nearest neighbours and their distance in Å.
Sites, in units of the cell vectors:
K1 0.0347 0.6502 0.3562  2 S 2.92-3.14, 2 K 3.01-3.04
K2 0.3498 0.9653 0.5411  2 S 2.92-3.14, 2 K 3.01-3.04
K3 0.3562 0.4589 0.0347  2 S 2.92-3.14, 2 K 3.01-3.04
K4 0.4589 0.3562 0.6502  2 S 2.92-3.14, 2 K 3.01-3.04
K5 0.5411 0.6438 0.3498  2 S 2.92-3.14, 2 K 3.01-3.04
K6 0.6438 0.5411 0.9653  2 S 2.92-3.14, 2 K 3.01-3.04
K7 0.6502 0.0347 0.4589  2 S 2.92-3.14, 2 K 3.01-3.04
K8 0.9653 0.3498 0.6438  2 S 2.92-3.14, 2 K 3.01-3.04
Ni1 0.0000 0.0000 0.0000  2 S 2.11
Ni2 0.0000 0.0000 0.5000  2 S 2.11
Ni3 0.0000 0.5000 0.0000  2 S 2.11
Ni4 0.1843 0.8098 0.7189  2 S 2.14-2.20
Ni5 0.1902 0.8157 0.2131  2 S 2.14-2.20
Ni6 0.2131 0.2811 0.1902  2 S 2.14-2.20
Ni7 0.2811 0.2131 0.8157  2 S 2.14-2.20
Ni8 0.5000 0.0000 0.0000  2 S 2.11
Ni9 0.7189 0.7869 0.1843  2 S 2.14-2.20
Ni10 0.7869 0.7189 0.8098  2 S 2.14-2.20
Ni11 0.8098 0.1843 0.7869  2 S 2.14-2.20
Ni12 0.8157 0.1902 0.2811  2 S 2.14-2.20
S1 0.0839 0.4837 0.7140  3 Ni 2.11-2.20
S2 0.2184 0.7140 0.4837  3 Ni 2.11-2.20
S3 0.2860 0.7816 0.9161  3 Ni 2.11-2.20
S4 0.4837 0.0839 0.2184  3 Ni 2.11-2.20
S5 0.5163 0.9161 0.7816  3 Ni 2.11-2.20
S6 0.7140 0.2184 0.0839  3 Ni 2.11-2.20
S7 0.7816 0.2860 0.5163  3 Ni 2.11-2.20
S8 0.9161 0.5163 0.2860  3 Ni 2.11-2.20

Values from the calculation:
formation energy = -0.439 eV/atom
space-group type = Fddd
density = 3.15 g/cm3

=====

Record 6
DFT (PBE) results for a relaxed K2NpO4 crystal.

Unit cell a=7.3723 b=7.3723 c=7.3723 alpha=145.77 beta=145.77 gamma=49.18
Last column: nearest neighbours and their distance in Å.
Sites, in units of the cell vectors:
K1 0.1498 0.1498 0.0000  9 O 2.77-3.07
K2 0.8502 0.8502 0.0000  9 O 2.77-3.07
Np1 0.5000 0.5000 0.0000  2 O 1.93
O1 0.0000 0.5000 0.5000  2 Np 2.17
O2 0.3561 0.3561 0.0000  1 Np 1.93
O3 0.5000 0.0000 0.5000  2 Np 2.17
O4 0.6439 0.6439 0.0000  1 Np 1.93

Values from the calculation:
formation energy = -2.896 eV/atom
space-group type = I4/mmm
density = 4.99 g/cm3

=====

Record 7
DFT (PBE) results for a relaxed K3Np3Si2O13 crystal.

Unit cell a=3.9577 b=9.8010 c=9.8126 alpha=119.79 beta=90.02 gamma=90.01
Last column: nearest neighbours and their distance in Å.
Sites, in units of the cell vectors:
K1 0.0000 0.0000 0.0000  4 O 2.64-2.86
K2 0.0001 0.2164 0.7739  4 O 2.64-2.86
K3 0.0000 0.4431 0.2162  5 O 2.65-2.96
Np1 0.5014 0.2409 0.4203  2 O 1.85-1.88
Np2 0.5014 0.6223 0.9762  2 O 1.85-1.88
Np3 0.5013 0.7966 0.5940  2 O 1.85-1.88
Si1 0.0597 0.5530 0.6635  4 O 1.67-1.68
Si2 0.9960 0.8861 0.3299  3 O 1.60
O1 0.4841 0.5533 0.6635  1 Si 1.68
O2 0.4996 0.2143 0.5944  1 Np 1.85
O3 0.4996 0.6226 0.3942  1 Np 1.85
O4 0.4996 0.8226 0.0021  1 Np 1.85
O5 0.5019 0.2395 0.2276  1 Np 1.88
O6 0.5019 0.4308 0.9772  1 Np 1.88
O7 0.5019 0.9885 0.7850  1 Np 1.88
O8 0.9950 0.3877 0.4943  1 Si 1.67
O9 0.9949 0.5496 0.8296  1 Si 1.67
O10 0.9948 0.7230 0.6670  1 Si 1.67
O11 0.9972 0.0463 0.3231  1 Si 1.60
O12 0.9972 0.7199 0.1708  1 Si 1.60
O13 0.9972 0.8934 0.4969  1 Si 1.60

Values from the calculation:
formation energy = -3.040 eV/atom
space-group type = P1
density = 5.49 g/cm3

=====

Record 8
DFT (PBE) results for a relaxed KO crystal.

Unit cell a=4.9116 b=4.9116 c=6.5651 alpha=90.00 beta=90.00 gamma=91.95
Last column: nearest neighbours and their distance in Å.
Sites, in units of the cell vectors:
K1 0.0910 0.4090 0.2500  6 O 2.71-2.75
K2 0.4090 0.0910 0.7500  6 O 2.71-2.75
K3 0.5910 0.9090 0.2500  6 O 2.71-2.75
K4 0.9090 0.5910 0.7500  6 O 2.71-2.75
O1 0.0869 0.9131 0.4309  1 O 1.53
O2 0.4131 0.5869 0.9309  1 O 1.53
O3 0.5869 0.4131 0.0691  1 O 1.53
O4 0.9131 0.0869 0.5691  1 O 1.53

Values from the calculation:
formation energy = -1.295 eV/atom
space-group type = Cmce
density = 2.31 g/cm3

=====

What did the fifth record say?
DFT (PBE) results for a relaxed K2Ni3S2 crystal.

Unit cell a=12.3490 b=11.9853 c=7.9227 alpha=73.51 beta=68.53 gamma=37.96
Last column: nearest neighbours and their distance in Å.
Sites, in units of the cell vectors:
K1 0.0347 0.6502 0.3562  2 S 2.92-3.14, 2 K 3.01-3.04
K2 0.3498 0.9653 0.5411  2 S 2.92-3.14, 2 K 3.01-3.04
K3 0.3562 0.4589 0.0347  2 S 2.92-3.14, 2 K 3.01-3.04
K4 0.4589 0.3562 0.6502  2 S 2.92-3.14, 2 K 3.01-3.04
K5 0.5411 0.6438 0.3498  2 S 2.92-3.14, 2 K 3.01-3.04
K6 0.6438 0.5411 0.9653  2 S 2.92-3.14, 2 K 3.01-3.04
K7 0.6502 0.0347 0.4589  2 S 2.92-3.14, 2 K 3.01-3.04
K8 0.9653 0.3498 0.6438  2 S 2.92-3.14, 2 K 3.01-3.04
Ni1 0.0000 0.0000 0.0000  2 S 2.11
Ni2 0.0000 0.0000 0.5000  2 S 2.11
Ni3 0.0000 0.5000 0.0000  2 S 2.11
Ni4 0.1843 0.8098 0.7189  2 S 2.14-2.20
Ni5 0.1902 0.8157 0.2131  2 S 2.14-2.20
Ni6 0.2131 0.2811 0.1902  2 S 2.14-2.20
Ni7 0.2811 0.2131 0.8157  2 S 2.14-2.20
Ni8 0.5000 0.0000 0.0000  2 S 2.11
Ni9 0.7189 0.7869 0.1843  2 S 2.14-2.20
Ni10 0.7869 0.7189 0.8098  2 S 2.14-2.20
Ni11 0.8098 0.1843 0.7869  2 S 2.14-2.20
Ni12 0.8157 0.1902 0.2811  2 S 2.14-2.20
S1 0.0839 0.4837 0.7140  3 Ni 2.11-2.20
S2 0.2184 0.7140 0.4837  3 Ni 2.11-2.20
S3 0.2860 0.7816 0.9161  3 Ni 2.11-2.20
S4 0.4837 0.0839 0.2184  3 Ni 2.11-2.20
S5 0.5163 0.9161 0.7816  3 Ni 2.11-2.20
S6 0.7140 0.2184 0.0839  3 Ni 2.11-2.20
S7 0.7816 0.2860 0.5163  3 Ni 2.11-2.20
S8 0.9161 0.5163 0.2860  3 Ni 2.11-2.20

Values from the calculation:
formation energy = -0.439 eV/atom
space-group type = Fddd
density = 3.15 g/cm3

=====

- Which formula does entry 3 have?
  KNd3Te8

=====

- Among the records above, which one has the lowest density?
  KNiPS4